[1]
VASP calculation (PBE) on a relaxed Cs2NaAlP2O8 crystal.

For the magnetic moment, the calculation gives 0.00 μB/f.u. The calculation puts the total energy at -6.531 eV per atom.

extended XYZ file:
```
112
Lattice="-6.305 1.299 6.785 7.276 -3.991 7.525 6.778 17.766 2.898" Properties=species:S:1:pos:R:3 pbc="T T T"
Cs 7.698 7.991 12.072
Cs 7.277 14.225 10.418
Cs 4.779 13.913 14.232
Cs 0.774 10.367 11.559
Cs 6.975 4.707 5.648
Cs 4.114 4.469 9.852
Cs 3.483 5.601 2.693
Cs 6.590 15.317 3.194
Cs 3.512 0.047 10.230
Cs 1.159 -0.244 14.013
Cs 0.471 0.848 6.789
Cs 3.635 10.605 7.355
Cs 0.051 7.083 5.135
Cs 4.266 9.473 14.514
Cs 4.237 15.027 6.977
Cs 2.969 1.161 2.976
P 3.933 16.600 10.645
P 9.914 11.143 10.572
P 7.085 12.537 6.436
P 8.571 14.458 14.060
P -0.822 0.615 3.147
P 0.663 2.537 10.772
P 0.960 12.868 8.368
P 5.003 11.224 11.198
P 3.355 9.336 3.748
P 6.789 2.206 8.839
P 1.032 7.616 8.671
P 6.717 7.457 8.536
P 3.816 -1.526 6.562
P 4.394 5.738 13.459
P 2.746 3.850 6.010
P -2.165 3.930 6.635
Al -0.768 10.235 8.156
Al 0.512 4.485 8.301
Al 4.812 1.507 6.420
Al 7.236 10.588 8.907
Al -3.023 1.119 5.487
Al 8.517 4.838 9.052
Al 10.772 13.955 11.721
Al 2.937 13.567 10.787
O 6.141 7.433 7.125
O 4.638 4.354 12.866
O 4.456 12.716 11.082
O 3.110 10.720 4.341
O 0.396 1.368 9.830
O 7.754 13.293 14.609
O 3.885 8.294 4.716
O 3.925 17.369 9.253
O 3.839 10.240 11.221
O 3.824 -2.295 7.954
O 5.115 17.731 4.857
O 4.755 -2.202 5.571
O 9.631 13.864 13.047
O 5.923 11.144 12.412
O 1.637 13.408 7.113
O 1.922 4.042 7.352
O 6.112 1.666 10.094
O -0.186 8.635 8.581
O 3.292 2.358 6.125
O -0.264 13.647 8.810
O 1.920 2.388 11.624
O 0.597 11.337 8.103
O 2.043 7.891 7.564
O 7.771 15.556 13.383
O 0.780 3.893 9.943
O -1.883 1.210 4.160
O -3.230 4.830 7.254
O 5.754 6.281 14.088
O 2.633 -2.657 12.351
O 1.995 8.793 3.120
O 1.608 7.641 10.082
O 8.359 12.297 5.521
O 2.993 17.276 11.637
O 4.407 -0.111 6.989
O -0.952 3.782 7.646
O 3.342 15.184 10.218
O 7.453 8.843 8.806
O 4.360 9.505 2.537
O 7.151 3.737 9.105
O 3.864 6.780 12.492
O 5.829 12.686 5.583
O 10.978 10.244 9.953
O 8.013 1.426 8.397
O 7.353 13.706 7.377
O 0.296 6.231 8.401
O 3.389 5.569 14.670
O 1.826 3.930 4.796
O -0.022 -0.482 3.825
O 9.447 10.712 11.950
O -2.744 2.445 6.603
O 2.379 -1.373 6.078
O 10.493 12.629 10.605
O 5.827 11.032 9.855
O -0.005 1.781 2.598
O 3.910 4.834 5.986
O 8.700 11.292 9.561
O 5.706 7.183 9.643
O 2.031 12.749 9.532
O 5.717 2.325 7.676
O -0.610 2.777 11.687
O 6.968 11.181 7.265
O 7.935 6.439 8.626
O 5.370 16.447 11.129
O -1.698 4.362 5.257
Na 8.331 15.701 6.924
Na 3.222 2.652 13.484
Na 7.910 11.267 13.535
Na 4.526 12.422 3.723
Na 3.929 7.026 6.565
Na -0.161 3.807 3.673
Na 3.819 8.047 10.642
Na -0.583 -0.627 10.284
```

***

[2]
VASP calculation (PBE) on a relaxed Ge3F crystal.

For the magnetic moment, the calculation gives 0.00 μB/f.u. The calculation puts the total energy at -4.302 eV per atom.

extended XYZ file:
```
4
Lattice="1.073 -4.189 1.314 -2.603 -2.165 2.993 -2.532 -3.502 -1.324" Properties=species:S:1:pos:R:3 pbc="T T T"
Ge -3.047 -7.392 2.238
Ge -2.031 -4.928 1.492
Ge -1.016 -2.464 0.746
F 0.000 0.000 0.000
```

***

[3]
VASP calculation (PBE) on a relaxed Sr3Te4O11 crystal.

For the magnetic moment, the calculation gives 0.00 μB/f.u. The calculation puts the total energy at -5.839 eV per atom.

extended XYZ file:
```
36
Lattice="-4.517 -3.533 5.118 8.558 -2.186 3.229 0.217 9.580 1.784" Properties=species:S:1:pos:R:3 pbc="T T T"
O 5.311 -3.849 6.923
O 0.704 1.920 6.680
O 6.739 5.638 5.136
O -1.576 0.219 5.020
O -0.078 4.535 7.554
O 4.337 1.727 2.265
O -0.719 2.932 3.845
O 0.722 4.959 2.348
O 5.039 1.668 7.061
O -1.450 5.556 4.775
O 2.361 -0.827 2.608
O 4.100 -1.540 8.121
O 1.109 2.193 1.859
O -3.648 5.074 6.862
O 2.165 -0.429 5.928
O 2.748 3.710 7.559
O 3.436 -2.686 4.743
O 0.529 -2.276 4.569
O -0.882 -0.325 2.232
O 5.637 3.111 4.349
O 3.045 5.981 3.998
O 2.897 2.437 4.560
Sr -1.821 -2.837 5.515
Sr 5.050 4.391 6.630
Sr 2.748 0.899 7.971
Sr 0.783 0.694 4.077
Sr 3.140 4.106 2.377
Sr 0.600 6.895 3.890
Te -0.269 3.483 1.751
Te 7.534 -2.360 3.551
Te -2.034 3.778 4.996
Te 1.864 -2.270 5.909
Te 3.990 7.507 4.542
Te 1.253 3.704 6.407
Te 4.542 1.586 4.170
Te 5.630 -2.008 6.926
```

***

What is the magnetic moment in the second record? 0.00 μB/f.u.

***

magnetic moment of number 3 (Sr3Te4O11)? 0.00 μB/f.u.